A plane-wave DFT calculation with r2SCAN was carried out for a geometry-optimized RbEu2I5 structure.

a = 9.040 Å, b = 10.096 Å, c = 14.332 Å
α = 89.74°, β = 90.00°, γ = 90.00°
Element x y z (fractional)
Rb1 0.947 0.507 0.169
Rb2 0.447 0.493 0.331
Rb3 0.053 0.493 0.831
Rb4 0.553 0.507 0.669
Eu1 0.973 0.003 0.180
Eu2 0.926 0.247 0.494
Eu3 0.426 0.753 0.006
Eu4 0.074 0.753 0.506
Eu5 0.574 0.247 0.994
Eu6 0.527 0.003 0.680
Eu7 0.027 0.997 0.820
Eu8 0.473 0.997 0.320
I1 0.188 0.773 0.283
I2 0.837 0.783 0.683
I3 0.337 0.217 0.817
I4 0.163 0.217 0.317
I5 0.663 0.783 0.183
I6 0.812 0.227 0.717
I7 0.312 0.773 0.783
I8 0.955 0.212 0.997
I9 0.838 0.958 0.401
I10 0.338 0.042 0.099
I11 0.162 0.042 0.599
I12 0.662 0.958 0.901
I13 0.045 0.788 0.003
I14 0.455 0.788 0.503
I15 0.675 0.538 0.919
I16 0.545 0.212 0.497
I17 0.825 0.538 0.419
I18 0.325 0.462 0.081
I19 0.175 0.462 0.581
I20 0.688 0.227 0.217

The calculation puts the energy at -28.57 eV per atom.



A plane-wave DFT calculation with r2SCAN was carried out for a geometry-optimized YNbPb2O6 structure.

a = 5.939 Å, b = 5.939 Å, c = 5.939 Å
α = 60.00°, β = 60.00°, γ = 60.00°
Element x y z (fractional)
Y1 0.000 0.000 0.000
Nb1 0.500 0.500 0.500
Pb1 0.250 0.250 0.250
Pb2 0.750 0.750 0.750
O1 0.738 0.262 0.262
O2 0.262 0.738 0.738
O3 0.262 0.738 0.262
O4 0.738 0.262 0.738
O5 0.262 0.262 0.738
O6 0.738 0.738 0.262

The calculation puts the energy at -21.74 eV per atom.